Model a:
7
Lattice="3.142 0.000 0.000 1.535 2.743 0.000 0.084 -0.023 10.106" Properties=species:S:1:pos:R:3 comment="MgMn2O4 | the Materials Project | PBE with a Hubbard U | optimized geometry" magnetic_moment_mub_per_atom=0.709 volume_a3_per_atom=12.4 density_g_cm3=3.8 pbc="T T T"
Mg 0.000 0.000 0.000
Mn 1.639 0.884 7.331
Mn 3.114 1.827 2.996
O 1.602 2.705 6.796
O 1.569 0.920 3.816
O 1.654 0.898 9.440
O 4.646 2.726 2.001

Model b:
14
Lattice="-3.076 3.076 4.174 3.076 -3.076 4.174 3.076 3.076 -4.174" Properties=species:S:1:pos:R:3 comment="MgMn2O4 | the Materials Project | PBE with a Hubbard U | optimized geometry" magnetic_moment_mub_per_atom=1.143 volume_a3_per_atom=11.3 density_g_cm3=4.2 pbc="T T T"
Mg 0.000 1.538 1.043
Mg 3.076 1.538 3.130
Mn 1.538 1.538 -2.087
Mn 1.538 -1.538 2.087
Mn 3.076 0.000 0.000
Mn 0.000 0.000 4.174
O 4.522 1.341 -0.126
O 3.273 -0.092 1.961
O 0.197 -0.092 2.213
O 1.630 1.735 -0.126
O 1.446 1.341 4.300
O 2.879 3.168 1.961
O -0.197 3.168 2.213
O -1.446 1.735 4.300

Model c:
7
Lattice="3.062 0.000 0.000 -1.531 2.651 0.000 0.000 0.000 10.036" Properties=species:S:1:pos:R:3 comment="MgMn2O4 | the Materials Project | PBE with a Hubbard U | optimized geometry" magnetic_moment_mub_per_atom=1.143 volume_a3_per_atom=11.6 density_g_cm3=4.0 pbc="T T T"
Mg 0.000 0.000 0.000
Mn 0.000 0.000 2.702
Mn 0.000 0.000 7.333
O 0.000 1.768 3.500
O 0.000 1.768 8.791
O 1.531 0.884 1.245
O 1.531 0.884 6.536

The structure with the greatest stability is model b.

Model a:
16
Lattice="5.093 0.000 0.000 0.000 5.900 0.000 -1.725 0.000 4.796" Properties=species:S:1:pos:R:3 comment="Li4Cr3NiO8 | the Materials Project | PBE with a Hubbard U | optimized geometry" magnetic_moment_mub_per_atom=0.625 volume_a3_per_atom=9.0 density_g_cm3=4.3 pbc="T T T"
Li 0.000 0.000 0.000
Li 0.000 2.950 0.000
Li 2.546 1.432 0.000
Li 2.546 4.468 0.000
Cr -0.863 1.473 2.398
Cr -0.863 4.427 2.398
Cr 1.684 2.950 2.398
Ni 1.684 0.000 2.398
O -0.070 0.000 3.516
O 0.011 2.950 3.480
O 0.840 1.570 1.319
O 0.840 4.330 1.319
O 2.528 1.570 3.477
O 2.528 4.330 3.477
O 3.357 2.950 1.316
O 3.438 0.000 1.280

Model b:
16
Lattice="5.110 -2.951 0.000 5.110 2.951 0.000 -3.402 0.000 4.854" Properties=species:S:1:pos:R:3 comment="Li4Cr3NiO8 | the Materials Project | PBE with a Hubbard U | optimized geometry" magnetic_moment_mub_per_atom=0.625 volume_a3_per_atom=9.1 density_g_cm3=4.2 pbc="T T T"
Li 0.000 0.000 0.000
Li 2.555 1.475 0.000
Li 2.555 -1.475 0.000
Li 5.110 0.000 0.000
Cr -1.701 0.000 2.427
Cr 0.854 1.475 2.427
Cr 0.854 -1.475 2.427
Ni 3.409 0.000 2.427
O 0.002 0.000 3.531
O 2.559 1.462 3.516
O 1.666 0.000 1.315
O 4.259 1.462 1.338
O 2.559 -1.462 3.516
O 5.151 0.000 3.539
O 4.259 -1.462 1.338
O 6.816 0.000 1.322

The structure with the greatest stability is model a.

Model a:
86
Lattice="9.742 0.000 0.000 -4.869 8.470 0.000 -0.046 -0.030 14.067" Properties=species:S:1:pos:R:3 comment="Li3V3P8O29 | the Materials Project | PBE with a Hubbard U | optimized geometry" magnetic_moment_mub_per_atom=0.000 volume_a3_per_atom=13.5 density_g_cm3=2.5 pbc="T T T"
Li 0.000 0.000 0.000
Li -3.231 6.341 6.453
Li 1.239 0.840 5.548
Li -0.228 5.738 5.529
Li -0.413 7.253 14.017
Li 4.094 5.709 12.404
V -0.884 2.871 9.822
V -0.195 1.815 2.734
V 4.020 1.744 9.782
V 1.306 6.559 2.774
V 4.676 2.875 2.770
V 2.550 6.574 9.671
P -2.272 3.938 4.017
P -1.010 4.639 1.396
P 1.227 0.731 8.514
P -0.364 5.772 8.505
P 2.636 0.748 1.430
P 3.829 -0.003 4.057
P -0.300 7.289 11.044
P 1.920 3.724 4.437
P 1.916 3.736 11.464
P 6.793 0.901 1.071
P 6.768 0.926 8.078
P 4.148 5.801 1.469
P 4.876 4.620 8.463
P 6.072 3.879 11.083
P 4.220 7.294 4.055
P 9.663 -0.010 11.070
O 7.604 3.625 11.002
O -0.150 0.298 3.960
O 0.673 0.040 12.351
O -1.957 4.807 2.698
O -3.984 8.271 9.791
O -1.759 4.540 0.143
O -1.846 4.699 5.215
O 0.908 0.004 7.243
O -0.889 4.328 8.624
O 1.090 0.966 1.482
O 0.458 2.051 8.707
O -0.172 3.334 1.738
O 0.471 3.661 10.829
O 1.223 2.423 3.826
O -0.969 6.530 9.780
O -1.934 8.295 2.725
O -0.792 6.418 7.227
O -1.932 8.419 5.239
O 3.119 0.066 0.217
O -0.610 6.594 12.314
O -0.034 5.858 1.532
O 2.749 0.992 8.626
O 1.850 3.675 5.916
O 1.133 4.985 3.873
O 1.928 3.699 12.953
O -0.041 7.262 4.007
O 2.675 2.517 10.794
O 4.002 0.256 10.940
O 1.186 5.763 8.681
O 3.340 2.108 1.726
O 4.620 1.323 3.850
O 1.220 7.334 10.744
O 3.351 3.746 3.803
O 2.626 5.017 10.902
O 1.202 8.087 1.704
O 5.341 0.899 8.711
O 2.609 5.732 1.769
O 4.122 3.286 8.630
O 5.360 2.523 10.824
O 2.661 7.287 3.822
O 3.835 5.784 8.627
O 4.714 4.375 1.571
O 6.742 0.785 13.662
O 6.060 2.116 1.728
O 2.640 8.105 8.693
O 6.810 0.877 6.595
O 3.854 7.220 11.006
O 5.958 3.632 3.932
O 4.395 6.530 0.192
O 5.588 4.574 12.299
O 5.700 4.804 7.247
O 4.702 6.596 5.255
O 5.796 4.790 9.777
O 4.799 6.617 2.689
O 7.504 2.148 8.728
O 8.269 0.889 1.657
O 8.846 1.280 10.810
O 8.234 2.581 3.801

Model b:
86
Lattice="9.718 0.000 0.000 -4.854 8.448 0.000 -0.028 -0.202 14.325" Properties=species:S:1:pos:R:3 comment="Li3V3P8O29 | the Materials Project | PBE with a Hubbard U | optimized geometry" magnetic_moment_mub_per_atom=0.000 volume_a3_per_atom=13.7 density_g_cm3=2.5 pbc="T T T"
Li 0.000 0.000 0.000
Li -4.415 8.158 6.853
Li -0.651 2.612 7.774
Li 0.697 2.783 0.684
Li 2.871 6.399 7.639
Li 4.211 5.517 13.372
V -2.686 4.737 3.376
V 2.167 3.600 3.417
V -0.583 8.274 10.564
V 0.624 8.401 3.297
V 2.745 4.621 10.514
V 7.563 3.544 10.531
P -2.960 6.432 11.794
P -0.641 2.559 4.729
P -2.279 7.697 4.643
P 0.661 2.511 11.870
P 2.528 0.659 2.016
P 1.941 1.694 9.316
P 0.046 5.555 1.681
P 0.031 5.490 8.853
P 4.849 2.668 12.189
P 4.927 2.747 5.031
P 2.919 6.535 4.624
P 2.353 7.590 11.898
P 4.251 5.764 2.081
P 7.176 0.554 9.261
P 7.862 1.800 2.134
P 5.538 5.737 9.160
O -3.853 6.620 10.468
O -0.876 1.652 1.016
O -0.862 1.883 6.036
O -2.202 5.069 11.596
O -0.851 2.777 11.613
O -1.404 3.884 4.520
O -2.714 6.202 4.512
O -0.683 4.202 9.383
O -1.374 5.551 2.356
O 1.891 0.060 0.822
O 1.938 -0.028 3.348
O -2.833 8.326 5.857
O 1.003 1.632 8.164
O 1.105 1.511 10.699
O 0.920 1.910 13.199
O 0.881 2.841 4.503
O -1.904 7.559 11.731
O 0.040 5.517 0.198
O 0.769 4.279 2.259
O -0.674 6.706 9.544
O 2.976 0.549 9.362
O 2.118 2.172 2.129
O 0.176 5.525 7.376
O 1.428 3.840 11.599
O -0.741 7.758 4.461
O 4.077 0.581 2.168
O 2.688 3.060 9.468
O 0.734 6.810 2.330
O 1.496 5.522 9.491
O 4.148 1.427 11.562
O 3.462 2.790 4.395
O 2.174 5.180 4.433
O 0.802 7.629 11.692
O 5.632 0.528 9.463
O 3.457 4.455 2.276
O 1.907 7.692 4.498
O 2.822 6.094 11.741
O 5.573 1.510 4.325
O 4.900 2.739 6.508
O 4.157 3.958 11.583
O 4.877 2.758 13.666
O 6.789 0.678 2.142
O 4.011 5.395 9.291
O 3.681 6.599 5.904
O 2.826 8.252 8.082
O 3.976 6.483 0.802
O 2.933 8.174 13.124
O 3.904 6.701 3.355
O 7.801 -0.101 10.596
O 6.283 2.671 11.498
O 5.646 3.976 4.377
O 7.656 2.038 9.258
O 5.767 5.469 2.212
O 6.343 4.415 9.372
O 7.169 3.173 2.242
O 8.669 1.575 3.532
O 5.793 6.532 7.943
O 5.856 6.474 12.972

The structure with the greatest stability is model b.

Model a:
28
Lattice="6.483 0.000 0.000 -3.241 5.614 0.000 0.000 0.000 9.845" Properties=species:S:1:pos:R:3 comment="LiMnP3O9 | the Materials Project | PBE with a Hubbard U | optimized geometry" magnetic_moment_mub_per_atom=0.357 volume_a3_per_atom=12.8 density_g_cm3=2.8 pbc="T T T"
Li 0.000 0.000 0.000
Li 0.000 0.000 4.922
Mn 3.241 1.871 0.000
Mn 3.241 1.871 4.922
P -0.938 2.305 2.461
P -1.715 3.649 7.384
P 0.938 2.305 7.384
P -0.776 5.275 2.461
P 1.715 3.649 2.461
P 0.776 5.275 7.384
O -0.650 2.449 7.384
O -1.446 3.826 2.461
O 0.650 2.449 2.461
O -0.795 4.953 7.384
O 2.108 0.339 1.163
O 2.108 0.339 3.759
O 1.348 1.656 6.086
O 1.348 1.656 8.682
O 1.446 3.826 7.384
O 0.795 4.953 2.461
O 4.375 0.339 6.086
O 4.375 0.339 8.682
O 2.481 3.619 1.163
O 2.481 3.619 3.759
O 5.135 1.656 1.163
O 5.135 1.656 3.759
O 4.002 3.619 6.086
O 4.002 3.619 8.682

Model b:
56
Lattice="5.273 0.000 0.000 0.000 12.206 0.000 0.000 0.000 12.809" Properties=species:S:1:pos:R:3 comment="LiMnP3O9 | the Materials Project | PBE with a Hubbard U | optimized geometry" magnetic_moment_mub_per_atom=0.357 volume_a3_per_atom=14.7 density_g_cm3=2.4 pbc="T T T"
Li 0.300 1.360 3.202
Li 0.300 4.743 9.607
Li 4.973 7.463 3.202
Li 4.973 10.846 9.607
Mn 0.000 0.000 0.000
Mn 0.000 0.000 6.405
Mn 0.000 6.103 0.000
Mn 0.000 6.103 6.405
P 1.263 9.154 0.000
P 1.263 9.154 6.405
P 2.614 0.998 8.147
P 2.614 0.998 11.066
P 2.614 5.105 1.743
P 2.614 5.105 4.662
P 2.658 7.101 8.147
P 2.658 7.101 11.066
P 2.658 11.208 1.743
P 2.658 11.208 4.662
P 4.009 3.051 0.000
P 4.009 3.051 6.405
O 0.510 8.129 0.808
O 0.510 8.129 5.596
O 0.510 10.180 7.213
O 0.510 10.180 12.001
O 1.142 0.732 8.070
O 1.142 0.732 11.144
O 1.142 5.371 1.665
O 1.142 5.371 4.739
O 1.688 0.110 1.403
O 1.688 0.110 5.002
O 1.688 5.993 7.807
O 1.688 5.993 11.406
O 2.295 7.664 9.607
O 2.295 10.645 3.202
O 2.346 8.451 7.357
O 2.346 8.451 11.856
O 2.346 9.858 0.953
O 2.346 9.858 5.452
O 2.926 2.348 7.357
O 2.926 2.348 11.856
O 2.926 3.755 0.953
O 2.926 3.755 5.452
O 2.978 1.561 9.607
O 2.978 4.542 3.202
O 3.585 6.213 1.403
O 3.585 6.213 5.002
O 3.585 12.096 7.807
O 3.585 12.096 11.406
O 4.130 6.835 8.070
O 4.130 6.835 11.144
O 4.130 11.474 1.665
O 4.130 11.474 4.739
O 4.763 2.026 0.808
O 4.763 2.026 5.596
O 4.763 4.077 7.213
O 4.763 4.077 12.001

The structure with the greatest stability is model a.